No. 1
Hf2Bi2O7: optimized geometry, r²SCAN.

Cell lengths 7.607, 7.607, 7.636 Å; angles 59.98, 59.98, 89.73 degrees
Atoms (fractional coordinates):
O 0.217 0.207 0.595
O 0.442 0.920 0.110
O 0.027 0.556 0.527
O 0.743 0.257 0.500
O 0.187 0.204 0.017
O 0.793 0.783 0.405
O 0.186 0.814 0.000
O 0.493 0.507 0.000
O 0.460 0.540 0.500
O 0.812 0.188 0.000
O 0.796 0.813 0.983
O 0.080 0.558 0.890
O 0.037 0.963 0.500
O 0.444 0.973 0.473
Bi 0.631 0.877 0.795
Bi 0.664 0.432 0.694
Bi 0.568 0.336 0.306
Bi 0.123 0.369 0.205
Hf 0.122 0.377 0.750
Hf 0.122 0.876 0.751
Hf 0.124 0.878 0.249
Hf 0.623 0.878 0.250

DFT formation energy   -29.95 eV/f.u.
E_tot   -25.37 eV/atom

=====

No. 2
HfGaAu: optimized geometry, r²SCAN.

Cell lengths 4.317, 4.317, 6.707 Å; angles 90.00, 90.00, 120.00 degrees
Atoms (fractional coordinates):
Ga 0.667 0.333 0.792
Ga 0.667 0.333 0.208
Au 0.333 0.667 0.711
Au 0.333 0.667 0.289
Hf 0.000 0.000 0.500
Hf 0.000 0.000 0.000

DFT formation energy   -1.76 eV/f.u.
E_tot   -36.31 eV/atom

=====

No. 3
SrSn4: optimized geometry, r²SCAN.

Cell lengths 4.675, 7.086, 9.063 Å; angles 90.00, 104.95, 90.00 degrees
Atoms (fractional coordinates):
Sn 0.000 0.000 0.000
Sn 0.000 0.500 0.000
Sn 0.196 0.955 0.392
Sn 0.804 0.455 0.608
Sn 0.196 0.545 0.392
Sn 0.590 0.750 0.180
Sn 0.410 0.250 0.820
Sn 0.804 0.045 0.608
Sr 0.388 0.750 0.777
Sr 0.612 0.250 0.223

DFT formation energy   -1.43 eV/f.u.
E_tot   -23.11 eV/atom

=====

No. 4
Na10SrSn12: optimized geometry, r²SCAN.

Cell lengths 9.750, 9.750, 9.750 Å; angles 109.47, 109.47, 109.47 degrees
Atoms (fractional coordinates):
Sn 0.188 0.000 0.371
Sn 0.371 0.000 0.188
Sn 0.629 0.817 0.629
Sn 0.000 0.371 0.188
Sn 0.371 0.188 0.000
Sn 0.183 0.812 0.812
Sn 0.629 0.629 0.817
Sn 0.188 0.371 0.000
Sn 0.000 0.188 0.371
Sn 0.812 0.183 0.812
Sn 0.817 0.629 0.629
Sn 0.812 0.812 0.183
Na 0.250 0.750 0.500
Na 0.750 0.500 0.250
Na 0.250 0.500 0.750
Na 0.500 0.750 0.250
Na 0.750 0.250 0.500
Na 0.000 0.000 0.612
Na 0.388 0.388 0.388
Na 0.000 0.612 0.000
Na 0.500 0.250 0.750
Na 0.612 0.000 0.000
Sr 0.000 0.000 0.000

DFT formation energy   -7.53 eV/f.u.
E_tot   -15.45 eV/atom